An optimized crystal structure of Ir3Rh. Source: Materials Project, functional r²SCAN.

a b c (Å): 4.704 4.704 4.704
angles (deg): 131.85 131.85 70.47
Positions (direct):
Ir1 0.750 0.250 0.500
Ir2 0.250 0.750 0.500
Ir3 0.500 0.500 0.000
Rh1 0.000 0.000 0.000

Summary:
Symmetry = I4/mmm
E = -45.329 eV per atom
Formation energy from the elements = -25 meV per atom